NdP5O14 after structural relaxation, computed with meta-GGA r2SCAN.

Lattice parameters (Å, degrees): 8.8013 9.0216 13.0706 90.00 90.00 90.00
With the nearest neighbours (Å) after each atom.
Atoms (fractional coordinates):
Nd1 0.2765 0.6910 0.0000  8 O 2.40-2.51
Nd2 0.2765 0.8090 0.5000  8 O 2.40-2.51
Nd3 0.7235 0.3090 0.0000  8 O 2.40-2.51
Nd4 0.7235 0.1910 0.5000  8 O 2.40-2.51
P1 0.7638 0.9495 0.8359  4 O 1.46-1.56
P2 0.0000 0.0000 0.6744  4 O 1.47-1.62
P3 0.2362 0.0505 0.8359  4 O 1.46-1.56
P4 0.2362 0.4495 0.3359  4 O 1.46-1.56
P5 0.2362 0.4495 0.6641  4 O 1.46-1.56
P6 0.6858 0.7457 0.0000  4 O 1.47-1.62
P7 0.5000 0.0000 0.2960  4 O 1.47-1.61
P8 0.7638 0.9495 0.1641  4 O 1.46-1.56
P9 0.5000 0.5000 0.7960  4 O 1.47-1.61
P10 0.3142 0.2457 0.5000  4 O 1.47-1.62
P11 0.0000 0.5000 0.1744  4 O 1.47-1.62
P12 0.7638 0.5505 0.6641  4 O 1.46-1.56
P13 0.7638 0.5505 0.3359  4 O 1.46-1.56
P14 0.6858 0.7543 0.5000  4 O 1.47-1.62
P15 0.0000 0.0000 0.3256  4 O 1.47-1.62
P16 0.5000 0.5000 0.2040  4 O 1.47-1.61
P17 0.5000 0.0000 0.7040  4 O 1.47-1.61
P18 0.3142 0.2543 0.0000  4 O 1.47-1.62
P19 0.0000 0.5000 0.8256  4 O 1.47-1.62
P20 0.2362 0.0505 0.1641  4 O 1.46-1.56
O1 0.0810 0.6187 0.1198  1 P 1.47
O2 0.5870 0.3844 0.1504  1 P 1.47
O3 0.4670 0.1864 0.0000  1 P 1.48
O4 0.5330 0.6864 0.5000  1 P 1.48
O5 0.7100 0.9156 0.5000  1 P 1.47
O6 0.2900 0.0844 0.5000  1 P 1.47
O7 0.8875 0.9178 0.2462  2 P 1.55-1.62
O8 0.2265 0.9071 0.8874  1 P 1.46
O9 0.6094 0.5860 0.7175  2 P 1.56-1.61
O10 0.9190 0.3813 0.8802  1 P 1.47
O11 0.2265 0.5929 0.3874  1 P 1.46
O12 0.2900 0.4156 0.0000  1 P 1.47
O13 0.8875 0.9178 0.7538  2 P 1.55-1.62
O14 0.5870 0.3844 0.8496  1 P 1.47
O15 0.6094 0.9140 0.2175  2 P 1.56-1.61
O16 0.5870 0.1156 0.6504  1 P 1.47
O17 0.9190 0.1187 0.6198  1 P 1.47
O18 0.4130 0.8844 0.6504  1 P 1.47
O19 0.1125 0.4178 0.7462  2 P 1.55-1.62
O20 0.4130 0.6156 0.1504  1 P 1.47
O21 0.3906 0.4140 0.7175  2 P 1.56-1.61
O22 0.6094 0.9140 0.7825  2 P 1.56-1.61
O23 0.7851 0.8113 0.0938  2 P 1.56-1.62
O24 0.6094 0.5860 0.2825  2 P 1.56-1.61
O25 0.2265 0.9071 0.1126  1 P 1.46
O26 0.2149 0.1887 0.0938  2 P 1.56-1.62
O27 0.3906 0.0860 0.2175  2 P 1.56-1.61
O28 0.7735 0.4071 0.3874  1 P 1.46
O29 0.7851 0.8113 0.9062  2 P 1.56-1.62
O30 0.9190 0.3813 0.1198  1 P 1.47
O31 0.7735 0.0929 0.1126  1 P 1.46
O32 0.9190 0.1187 0.3802  1 P 1.47
O33 0.1125 0.0822 0.7538  2 P 1.55-1.62
O34 0.8875 0.5822 0.2538  2 P 1.55-1.62
O35 0.2149 0.3113 0.4062  2 P 1.56-1.62
O36 0.1125 0.4178 0.2538  2 P 1.55-1.62
O37 0.0810 0.8813 0.6198  1 P 1.47
O38 0.2149 0.3113 0.5938  2 P 1.56-1.62
O39 0.7735 0.4071 0.6126  1 P 1.46
O40 0.7851 0.6887 0.4062  2 P 1.56-1.62
O41 0.3906 0.4140 0.2825  2 P 1.56-1.61
O42 0.1125 0.0822 0.2462  2 P 1.55-1.62
O43 0.2149 0.1887 0.9062  2 P 1.56-1.62
O44 0.3906 0.0860 0.7825  2 P 1.56-1.61
O45 0.4130 0.6156 0.8496  1 P 1.47
O46 0.5330 0.8136 0.0000  1 P 1.48
O47 0.7851 0.6887 0.5938  2 P 1.56-1.62
O48 0.8875 0.5822 0.7462  2 P 1.55-1.62
O49 0.4670 0.3136 0.5000  1 P 1.48
O50 0.0810 0.8813 0.3802  1 P 1.47
O51 0.4130 0.8844 0.3496  1 P 1.47
O52 0.5870 0.1156 0.3496  1 P 1.47
O53 0.2265 0.5929 0.6126  1 P 1.46
O54 0.7100 0.5844 0.0000  1 P 1.47
O55 0.7735 0.0929 0.8874  1 P 1.46
O56 0.0810 0.6187 0.8802  1 P 1.47

As for the total magnetization: 0.000 μB/f.u. The space group is Pmna. The formation energy comes out at -51.3 eV/f.u.